Entry from Materials Project: an optimized crystal structure of Ba3MgMnNb2O9 (GGA+U).

abc: 6.1896 6.1896 7.4639
angles: 93.84 93.84 57.00
Last column: nearest neighbours and their distance in Å.
Atoms (fractional coordinates):
Ba  0.0000  0.0000  0.0000  12 O 2.95-3.09
Ba  0.2788  0.2788  0.6972  7 O 2.74-2.97, 1 Mg 2.91
Ba  0.7212  0.7212  0.3028  7 O 2.74-2.97, 1 Mg 2.91
Mg  0.5000  0.5000  0.5000  4 O 2.00
Mn  0.0000  0.0000  0.5000  4 O 2.11
Nb  0.3379  0.3379  0.1569  6 O 2.01-2.19
Nb  0.6621  0.6621  0.8431  6 O 2.01-2.19
O  0.0000  0.5000  0.0000  2 Nb 2.07
O  0.1951  0.6678  0.3293  1 Mg 2.00, 1 Nb 2.11, 1 Mn 2.11
O  0.1977  0.1977  0.3172  1 Nb 2.01
O  0.3322  0.8049  0.6707  1 Mg 2.00, 1 Nb 2.11, 1 Mn 2.11
O  0.5000  0.0000  0.0000  2 Nb 2.07
O  0.5000  0.5000  0.0000  2 Nb 2.19
O  0.6678  0.1951  0.3293  1 Mg 2.00, 1 Nb 2.11, 1 Mn 2.11
O  0.8023  0.8023  0.6828  1 Nb 2.01
O  0.8049  0.3322  0.6707  1 Mg 2.00, 1 Nb 2.11, 1 Mn 2.11

As for the symmetry: No. 12. Its crystal system is monoclinic. The value obtained for the calculated formation energy is -2.76 eV per atom.